# 1
Li4Ti2Mn4Fe3O18 | GGA+U | relaxed

Unit cell a=2.937 b=9.112 c=25.077 alpha=90.00 beta=90.00 gamma=90.00
Positions (direct):
1 Li 0.000 0.178 0.996
2 Li 0.000 0.187 0.202
3 Li 0.000 0.313 0.702
4 Li 0.000 0.322 0.496
5 Li 0.000 0.678 0.504
6 Li 0.000 0.687 0.298
7 Li 0.000 0.813 0.798
8 Li 0.000 0.822 0.004
9 Ti 0.000 0.996 0.106
10 Ti 0.000 0.504 0.606
11 Ti 0.000 0.496 0.394
12 Ti 0.000 0.004 0.894
13 Mn 0.000 0.008 0.311
14 Mn 0.500 0.147 0.586
15 Mn 0.500 0.353 0.086
16 Mn 0.000 0.492 0.811
17 Mn 0.000 0.508 0.189
18 Mn 0.500 0.647 0.914
19 Mn 0.500 0.853 0.414
20 Mn 0.000 0.992 0.689
21 Fe 0.000 0.000 0.500
22 Fe 0.500 0.154 0.804
23 Fe 0.500 0.346 0.304
24 Fe 0.000 0.500 0.000
25 Fe 0.500 0.654 0.696
26 Fe 0.500 0.846 0.196
27 O 0.000 0.993 0.419
28 O 0.000 0.007 0.581
29 O 0.500 0.042 0.942
30 O 0.500 0.053 0.161
31 O 0.500 0.116 0.662
32 O 0.000 0.125 0.753
33 O 0.500 0.155 0.508
34 O 0.500 0.129 0.286
35 O 0.000 0.186 0.858
36 O 0.000 0.215 0.086
37 O 0.000 0.285 0.586
38 O 0.000 0.314 0.358
39 O 0.500 0.371 0.786
40 O 0.500 0.345 0.008
41 O 0.000 0.375 0.253
42 O 0.500 0.384 0.162
43 O 0.500 0.447 0.661
44 O 0.500 0.458 0.442
45 O 0.000 0.493 0.081
46 O 0.000 0.507 0.919
47 O 0.500 0.542 0.558
48 O 0.500 0.553 0.339
49 O 0.500 0.616 0.838
50 O 0.000 0.625 0.747
51 O 0.500 0.655 0.992
52 O 0.500 0.629 0.214
53 O 0.000 0.686 0.642
54 O 0.000 0.715 0.414
55 O 0.000 0.785 0.914
56 O 0.000 0.814 0.142
57 O 0.500 0.871 0.714
58 O 0.500 0.845 0.492
59 O 0.000 0.875 0.247
60 O 0.500 0.884 0.338
61 O 0.500 0.947 0.839
62 O 0.500 0.958 0.058

Summary:
Energy with MP2020 corrections ... -484.64 eV per cell
Total moment ... 28.0 μB per formula unit
Energy of formation from the pure elements ... -67.8 eV per formula unit
SG ... Pbam, No. 55



# 2
TmCrO3 | GGA+U | relaxed

Unit cell a=3.834 b=3.834 c=3.834 alpha=90.00 beta=90.00 gamma=90.00
Positions (direct):
1 Tm 0.000 0.000 0.000
2 Cr 0.500 0.500 0.500
3 O 0.500 0.500 0.000
4 O 0.500 0.000 0.500
5 O 0.000 0.500 0.500

Summary:
Energy with MP2020 corrections ... -43.22 eV per cell
Total moment ... 3.0 μB per formula unit
Energy of formation from the pure elements ... -14.2 eV per formula unit
SG ... Pm-3m, No. 221



# 3
Li2Mn2OF6 | GGA+U | relaxed

Unit cell a=5.305 b=6.894 c=8.379 alpha=69.41 beta=77.78 gamma=85.06
Positions (direct):
1 Li 0.326 0.759 0.894
2 Li 0.867 0.984 0.741
3 Li 0.129 0.011 0.269
4 Li 0.679 0.253 0.085
5 Mn 0.274 0.289 0.822
6 Mn 0.825 0.517 0.663
7 Mn 0.179 0.480 0.328
8 Mn 0.720 0.715 0.196
9 O 0.942 0.391 0.874
10 O 0.839 0.575 0.408
11 F 0.630 0.821 0.972
12 F 0.451 0.575 0.775
13 F 0.929 0.789 0.623
14 F 0.649 0.242 0.720
15 F 0.170 0.015 0.813
16 F 0.224 0.401 0.580
17 F 0.822 0.986 0.192
18 F 0.328 0.747 0.298
19 F 0.068 0.212 0.377
20 F 0.534 0.432 0.226
21 F 0.067 0.619 0.089
22 F 0.348 0.186 0.056

Summary:
Energy with MP2020 corrections ... -138.18 eV per cell
Energy of formation from the pure elements ... -30.5 eV per formula unit
Energy above the most stable polymorph in this dataset ... 0.037 eV per atom
SG ... P1, No. 1



# 4
Ba2SmMoO6 | GGA+U | relaxed

Unit cell a=6.073 b=6.073 c=6.073 alpha=119.42 beta=119.42 gamma=91.01
Positions (direct):
1 Ba 0.750 0.250 0.500
2 Ba 0.250 0.750 0.500
3 Sm 0.000 0.000 0.000
4 Mo 0.500 0.500 0.000
5 O 0.729 0.729 0.000
6 O 0.271 0.271 0.000
7 O 0.247 0.718 0.965
8 O 0.753 0.282 0.035
9 O 0.282 0.247 0.530
10 O 0.718 0.753 0.470

Summary:
Energy with MP2020 corrections ... -79.27 eV per cell
Total moment ... 1.0 μB per formula unit
Energy of formation from the pure elements ... -30.2 eV per formula unit
SG ... I4/m, No. 87